# Li17Co3O12

Li17Co3O12 after structural relaxation (PBE+U, the Materials Project database).

Lattice parameters (Å, degrees): 8.0562 6.5684 11.4310 90.00 90.29 90.00
Last column: nearest neighbours and their distance in Å.
Sites, in units of the cell vectors:
Li: 0.0525 0.0630 0.4049  4 O 1.96-2.16
Li: 0.0555 0.5000 0.4011  4 O 1.99-2.07
Li: 0.0602 0.7695 0.1842  4 O 1.90-2.00
Li: 0.0988 0.0552 0.9361  4 O 1.95-2.11
Li: 0.1203 0.2964 0.6563  4 O 1.91-2.08
Li: 0.1196 0.4995 0.9127  4 O 1.96-2.16
Li: 0.2263 0.9857 0.7423  4 O 1.98-2.09
Li: 0.2339 0.7760 0.0227  4 O 1.89-1.97
Li: 0.2623 0.9930 0.2608  4 O 1.93-2.08
Li: 0.2678 0.2750 0.4774  4 O 1.91-1.98
Li: 0.2741 0.5621 0.2612  4 O 2.00-2.11
Li: 0.3850 0.7509 0.8459  4 O 1.90-2.11
Li: 0.3907 0.0605 0.0728  4 O 1.99-2.15
Li: 0.4041 0.4899 0.0752  4 O 1.98-2.08
Li: 0.4206 0.4967 0.6040  4 O 1.99-2.16
Li: 0.4337 0.2727 0.3126  4 O 1.91-2.01
Li: 0.4405 0.0562 0.5915  4 O 2.00-2.08
Li: 0.5595 0.5562 0.4085  4 O 2.00-2.08
Li: 0.5663 0.7727 0.6874  4 O 1.91-2.01
Li: 0.5794 0.9967 0.3960  4 O 1.99-2.16
Li: 0.5959 0.9899 0.9248  4 O 1.98-2.08
Li: 0.6093 0.5605 0.9272  4 O 1.99-2.15
Li: 0.6150 0.2509 0.1541  4 O 1.90-2.11
Li: 0.7259 0.0621 0.7388  4 O 2.00-2.11
Li: 0.7322 0.7750 0.5226  4 O 1.91-1.98
Li: 0.7377 0.4930 0.7392  4 O 1.93-2.08
Li: 0.7661 0.2760 0.9773  4 O 1.89-1.97
Li: 0.7737 0.4857 0.2577  4 O 1.98-2.09
Li: 0.8797 0.7964 0.3437  4 O 1.91-2.08
Li: 0.8804 0.9995 0.0873  4 O 1.96-2.16
Li: 0.9012 0.5552 0.0639  4 O 1.95-2.11
Li: 0.9398 0.2695 0.8158  4 O 1.90-2.00
Li: 0.9445 0.0000 0.5989  4 O 1.99-2.07
Li: 0.9475 0.5630 0.5951  4 O 1.96-2.16
Co: 0.0815 0.2793 0.1647  4 O 1.92-1.97
Co: 0.2481 0.7780 0.4980  4 O 1.93-1.98
Co: 0.4129 0.2797 0.8315  4 O 1.92-2.01
Co: 0.5871 0.7797 0.1685  4 O 1.92-2.01
Co: 0.7519 0.2780 0.5020  4 O 1.93-1.98
Co: 0.9185 0.7793 0.8353  4 O 1.92-1.97
O: 0.1378 0.7799 0.3423  6 Li 1.91-2.11, 1 Co 1.98
O: 0.1479 0.0122 0.1023  5 Li 1.93-2.03, 1 Co 1.97
O: 0.1531 0.7883 0.8630  5 Li 1.90-2.00, 1 Co 1.92
O: 0.1591 0.5354 0.0971  5 Li 1.89-2.11, 1 Co 1.96
O: 0.1754 0.2551 0.8223  5 Li 1.90-2.03, 1 Co 1.92
O: 0.1795 0.5141 0.5537  5 Li 1.91-2.03, 1 Co 1.93
O: 0.1849 0.0403 0.5695  1 Co 1.97, 6 Li 1.98-2.16
O: 0.1856 0.2771 0.3203  6 Li 1.91-2.11, 1 Co 1.96
O: 0.4778 0.7717 0.0101  6 Li 1.97-2.15, 1 Co 2.01
O: 0.4838 0.0112 0.7636  6 Li 1.91-2.11, 1 Co 2.01
O: 0.4922 0.7771 0.5190  6 Li 1.93-2.16, 1 Co 1.98
O: 0.4970 0.0282 0.2328  5 Li 1.92-2.03, 1 Co 1.93
O: 0.5030 0.5282 0.7672  5 Li 1.92-2.03, 1 Co 1.93
O: 0.5078 0.2771 0.4810  6 Li 1.93-2.16, 1 Co 1.98
O: 0.5162 0.5112 0.2364  6 Li 1.91-2.11, 1 Co 2.01
O: 0.5222 0.2717 0.9899  6 Li 1.97-2.15, 1 Co 2.01
O: 0.8144 0.7771 0.6797  6 Li 1.91-2.11, 1 Co 1.96
O: 0.8151 0.5403 0.4305  1 Co 1.97, 6 Li 1.98-2.16
O: 0.8205 0.0141 0.4463  5 Li 1.91-2.03, 1 Co 1.93
O: 0.8246 0.7551 0.1777  5 Li 1.90-2.03, 1 Co 1.92
O: 0.8409 0.0354 0.9029  5 Li 1.89-2.11, 1 Co 1.96
O: 0.8469 0.2883 0.1370  5 Li 1.90-2.00, 1 Co 1.92
O: 0.8521 0.5122 0.8977  5 Li 1.93-2.03, 1 Co 1.97
O: 0.8622 0.2799 0.6577  6 Li 1.91-2.11, 1 Co 1.98

spin magnetization = 0.313 μB/atom
crystal system = monoclinic
space group = P2_1 (4)
relative energy among the computed polymorphs = 0.0036 eV/atom
energy of formation = -1.921 eV/atom

# NaMg14FeO16

NaMg14FeO16 after structural relaxation (PBE+U, the Materials Project database).

Lattice parameters (Å, degrees): 4.2906 8.5541 8.5595 90.00 90.00 90.00
Last column: nearest neighbours and their distance in Å.
Sites, in units of the cell vectors:
Na: 0.0000 0.0000 0.0000  6 O 2.15-2.31
Mg: 0.0000 0.0000 0.5000  6 O 2.02-2.19
Mg: 0.0000 0.2448 0.2518  6 O 2.10-2.18
Mg: 0.0000 0.2448 0.7482  6 O 2.10-2.18
Mg: 0.0000 0.5000 0.5000  6 O 2.09-2.18
Mg: 0.0000 0.7552 0.2518  6 O 2.10-2.18
Mg: 0.0000 0.7552 0.7482  6 O 2.10-2.18
Mg: 0.5000 0.0000 0.2474  6 O 2.12-2.16
Mg: 0.5000 0.0000 0.7526  6 O 2.12-2.16
Mg: 0.5000 0.2419 0.0000  6 O 2.07-2.21
Mg: 0.5000 0.2477 0.5000  6 O 2.12-2.16
Mg: 0.5000 0.5000 0.2524  6 O 2.12-2.16
Mg: 0.5000 0.5000 0.7476  6 O 2.12-2.16
Mg: 0.5000 0.7523 0.5000  6 O 2.12-2.16
Mg: 0.5000 0.7581 0.0000  6 O 2.07-2.21
Fe: 0.0000 0.5000 0.0000  6 O 1.97-2.15
O: 0.0000 0.0000 0.2638  5 Mg 2.02-2.15, 1 Na 2.26
O: 0.0000 0.0000 0.7362  5 Mg 2.02-2.15, 1 Na 2.26
O: 0.0000 0.2556 0.5000  6 Mg 2.09-2.19
O: 0.0000 0.2699 0.0000  1 Fe 1.97, 4 Mg 2.16-2.17
O: 0.0000 0.5000 0.2458  1 Fe 2.10, 5 Mg 2.15-2.18
O: 0.0000 0.5000 0.7542  1 Fe 2.10, 5 Mg 2.15-2.18
O: 0.0000 0.7301 0.0000  1 Fe 1.97, 4 Mg 2.16-2.17
O: 0.0000 0.7444 0.5000  6 Mg 2.09-2.19
O: 0.5000 0.0000 0.0000  4 Mg 2.07-2.12, 2 Na 2.15
O: 0.5000 0.0000 0.5000  6 Mg 2.12-2.16
O: 0.5000 0.2521 0.2492  6 Mg 2.12-2.16
O: 0.5000 0.2521 0.7508  6 Mg 2.12-2.16
O: 0.5000 0.5000 0.0000  2 Fe 2.15, 4 Mg 2.16-2.21
O: 0.5000 0.5000 0.5000  6 Mg 2.12-2.16
O: 0.5000 0.7479 0.2492  6 Mg 2.12-2.16
O: 0.5000 0.7479 0.7508  6 Mg 2.12-2.16

spin magnetization = 0.156 μB/atom
crystal system = orthorhombic
space group = Pmmm (47)
relative energy among the computed polymorphs = 0.0000 eV/atom
energy of formation = -2.867 eV/atom

# BaLaCo2O5

BaLaCo2O5 after structural relaxation (PBE+U, the Materials Project database).

Lattice parameters (Å, degrees): 3.9242 4.0335 7.8523 90.00 90.00 90.00
Last column: nearest neighbours and their distance in Å.
Sites, in units of the cell vectors:
Ba: 0.0000 0.0000 0.0000  12 O 2.81-3.13
La: 0.0000 0.0000 0.5000  8 O 2.51-2.53
Co: 0.5000 0.5000 0.2527  5 O 1.98-2.05
Co: 0.5000 0.5000 0.7473  5 O 1.98-2.05
O: 0.0000 0.5000 0.3054  2 Co 2.01
O: 0.0000 0.5000 0.6946  2 Co 2.01
O: 0.5000 0.0000 0.2997  2 Co 2.05
O: 0.5000 0.0000 0.7003  2 Co 2.05
O: 0.5000 0.5000 0.0000  2 Co 1.98

spin magnetization = 0.652 μB/atom
crystal system = orthorhombic
space group = Pmmm (47)
energy of formation = -2.356 eV/atom

# Li7Mn5O12

Li7Mn5O12 after structural relaxation (PBE+U, the Materials Project database).

Lattice parameters (Å, degrees): 5.9571 10.2207 8.0907 69.03 74.45 87.55
Last column: nearest neighbours and their distance in Å.
Sites, in units of the cell vectors:
O: 0.3907 0.3645 0.5034  2 Mn 1.94-1.97, 1 Li 2.12
O: 0.5179 0.6965 0.8131  3 Mn 1.99-2.02, 2 Li 2.10-2.16
Mn: 0.8435 0.1665 0.6709  4 O 1.93-2.00
O: 0.7076 0.0355 0.1474  2 Mn 1.95-1.96, 3 Li 2.05-2.13
O: 0.8154 0.9702 0.8535  3 Mn 1.99-2.02, 2 Li 2.10-2.16
O: 0.4710 0.8057 0.1510  1 Mn 1.83, 3 Li 1.97-2.05
Li: 0.6667 0.8334 0.3333  6 O 2.05-2.21
Mn: 0.3436 0.1665 0.6710  4 O 1.93-2.00
O: 0.1257 0.6312 0.5193  2 Mn 1.95-1.96, 3 Li 2.05-2.13
Mn: 0.6668 0.3335 0.3334  4 O 1.94-2.00
O: 0.4427 0.3022 0.1632  2 Mn 1.94-1.97, 1 Li 2.12
O: 0.0180 0.6965 0.8131  3 Mn 1.99-2.02, 2 Li 2.10-2.16
Li: 0.1666 0.8334 0.3333  6 O 2.05-2.20
O: 0.2174 0.5348 0.1670  2 Mn 1.94-2.00, 2 Li 2.12-2.14
O: 0.3154 0.9702 0.8535  3 Mn 1.99-2.02, 2 Li 2.10-2.16
Li: 0.0874 0.4192 0.6663  6 O 2.05-2.20
Mn: 0.5088 0.9937 0.0126  6 O 1.83-2.02
O: 0.2076 0.0355 0.1474  2 Mn 1.95-1.96, 3 Li 2.05-2.13
Li: 0.9151 0.5989 0.3199  4 O 2.05-2.19
Li: 0.7459 0.2473 0.0005  6 O 2.05-2.20
O: 0.2693 0.4711 0.8283  2 Mn 1.93-2.02, 2 Li 2.12-2.16
Li: 0.0616 0.9106 0.6463  5 O 1.97-2.16
O: 0.7692 0.4711 0.8284  2 Mn 1.93-2.02, 2 Li 2.12-2.16
Mn: 0.9898 0.5002 0.9957  4 O 1.93-2.00
O: 0.7173 0.5349 0.1669  2 Mn 1.94-2.00, 2 Li 2.12-2.13
O: 0.9426 0.3022 0.1633  2 Mn 1.94-1.97, 1 Li 2.12
O: 0.1160 0.1318 0.4997  2 Mn 1.94-2.00, 2 Li 2.12-2.14
Li: 0.5615 0.9105 0.6462  5 O 1.97-2.16
Mn: 0.8246 0.6730 0.6540  6 O 1.83-2.02
Mn: 0.0089 0.9937 0.0127  6 O 1.83-2.02
Li: 0.7717 0.7561 0.0205  5 O 1.97-2.16
O: 0.9710 0.8058 0.1510  1 Mn 1.83, 3 Li 1.97-2.05
Mn: 0.4896 0.5002 0.9956  4 O 1.93-2.00
O: 0.6159 0.1319 0.4996  2 Mn 1.94-2.00, 2 Li 2.12-2.14
Mn: 0.1668 0.3333 0.3333  4 O 1.94-2.00
O: 0.5641 0.1956 0.8383  2 Mn 1.93-2.02, 2 Li 2.12-2.16
O: 0.0641 0.1956 0.8383  2 Mn 1.93-2.02, 2 Li 2.12-2.16
O: 0.8623 0.8610 0.5157  1 Mn 1.83, 3 Li 1.97-2.05
O: 0.6258 0.6312 0.5192  2 Mn 1.95-1.96, 3 Li 2.05-2.13
O: 0.3623 0.8609 0.5156  1 Mn 1.83, 3 Li 1.97-2.05
Li: 0.2459 0.2473 0.0005  6 O 2.05-2.20
Mn: 0.3245 0.6730 0.6539  6 O 1.83-2.02
Li: 0.5874 0.4193 0.6663  6 O 2.05-2.20
Li: 0.9183 0.0678 0.3468  4 O 2.05-2.18
O: 0.8908 0.3644 0.5033  2 Mn 1.94-1.97, 1 Li 2.12
Li: 0.4183 0.0677 0.3468  4 O 2.05-2.18
Li: 0.2717 0.7560 0.0205  5 O 1.97-2.16
Li: 0.4150 0.5989 0.3199  4 O 2.05-2.18

spin magnetization = 0.000 μB/atom
relative energy among the computed polymorphs = 0.0269 eV/atom
energy of formation = -2.130 eV/atom

> What is the spin magnetization in the second record?

0.156 μB/atom

> Which of these has the lowest energy of formation?

NaMg14FeO16

> What is the energy of formation in the second record?

-2.867 eV/atom

> What is the spin magnetization in the second record?

0.156 μB/atom